[1]
VASP calculation (GGA+U) on a relaxed structure of Ca2CoCN2O2.

abc: 3.6572 3.6572 8.0430
angles: 90.00 90.00 90.00
Closest atoms and distances in Å follow each position.
Positions (direct):
1 Ca 0.5000 0.5000 0.7059  4 O 2.47
2 Ca 0.5000 0.5000 0.2941  4 O 2.47
3 Co 0.0000 0.0000 0.5000  4 O 1.83
4 C 0.0000 0.0000 0.0000  2 N 1.25
5 N 0.0000 0.0000 0.8450  1 C 1.25
6 N 0.0000 0.0000 0.1550  1 C 1.25
7 O 0.0000 0.5000 0.5000  2 Co 1.83
8 O 0.5000 0.0000 0.5000  2 Co 1.83

***

[2]
VASP calculation (GGA+U) on a relaxed structure of VCoP2O8.

abc: 9.9177 5.9594 4.8924
angles: 90.00 89.23 90.00
Closest atoms and distances in Å follow each position.
Positions (direct):
1 V 0.2252 0.7500 0.4816  4 O 1.84-2.02
2 V 0.7749 0.2500 0.5185  4 O 1.84-2.02
3 Co 0.2671 0.2500 0.9635  6 O 1.98-2.21
4 Co 0.7332 0.7500 0.0376  4 O 1.98-2.16
5 P 0.0961 0.2500 0.4237  4 O 1.50-1.59
6 P 0.3994 0.7500 0.9001  4 O 1.50-1.59
7 P 0.6006 0.2500 0.0995  4 O 1.50-1.59
8 P 0.9042 0.7500 0.5767  4 O 1.50-1.59
9 O 0.0595 0.7500 0.6540  1 P 1.59
10 O 0.1056 0.2500 0.7300  1 P 1.50
11 O 0.1637 0.0436 0.2789  1 P 1.57
12 O 0.1637 0.4564 0.2789  1 P 1.57
13 O 0.3256 0.9482 0.7452  1 P 1.59
14 O 0.3256 0.5517 0.7453  1 P 1.59
15 O 0.3599 0.7500 0.2088  1 P 1.56
16 O 0.4505 0.2500 0.1344  1 P 1.50
17 O 0.5494 0.7500 0.8648  1 P 1.50
18 O 0.6401 0.2500 0.7909  1 P 1.55
19 O 0.6742 0.0517 0.2544  1 P 1.59
20 O 0.6742 0.4483 0.2544  1 P 1.59
21 O 0.8361 0.5437 0.7209  1 P 1.57
22 O 0.8361 0.9564 0.7209  1 P 1.57
23 O 0.8948 0.7500 0.2702  1 P 1.50
24 O 0.9405 0.2500 0.3468  1 P 1.59

Output
**Excess energy over the best structure of this formula in the dataset**: 0 meV/atom

***

[3]
VASP calculation (GGA+U) on a relaxed structure of Mn3Al2Si3O12.

abc: 10.1698 10.1698 10.1698
angles: 109.47 109.47 109.47
Closest atoms and distances in Å follow each position.
Positions (direct):
1 Mn 0.3750 0.1250 0.2500  8 O 2.27-2.44
2 Mn 0.7500 0.1250 0.3750  8 O 2.27-2.44
3 Mn 0.2500 0.3750 0.1250  8 O 2.27-2.44
4 Mn 0.3750 0.7500 0.1250  8 O 2.27-2.44
5 Mn 0.1250 0.3750 0.7500  8 O 2.27-2.44
6 Mn 0.1250 0.2500 0.3750  8 O 2.27-2.44
7 Mn 0.6250 0.2500 0.8750  8 O 2.27-2.44
8 Mn 0.2500 0.8750 0.6250  8 O 2.27-2.44
9 Mn 0.6250 0.8750 0.7500  8 O 2.27-2.44
10 Mn 0.8750 0.6250 0.2500  8 O 2.27-2.44
11 Mn 0.8750 0.7500 0.6250  8 O 2.27-2.44
12 Mn 0.7500 0.6250 0.8750  8 O 2.27-2.44
13 Al 0.5000 0.0000 0.0000  6 O 1.92
14 Al 0.5000 0.5000 0.5000  6 O 1.92
15 Al 0.5000 0.0000 0.5000  6 O 1.92
16 Al 0.0000 0.0000 0.5000  6 O 1.92
17 Al 0.0000 0.0000 0.0000  6 O 1.92
18 Al 0.0000 0.5000 0.5000  6 O 1.92
19 Al 0.5000 0.5000 0.0000  6 O 1.92
20 Al 0.0000 0.5000 0.0000  6 O 1.92
21 Si 0.6250 0.3750 0.2500  4 O 1.66
22 Si 0.8750 0.1250 0.7500  4 O 1.66
23 Si 0.2500 0.6250 0.3750  4 O 1.66
24 Si 0.6250 0.7500 0.3750  4 O 1.66
25 Si 0.3750 0.2500 0.6250  4 O 1.66
26 Si 0.3750 0.6250 0.7500  4 O 1.66
27 Si 0.2500 0.1250 0.8750  4 O 1.66
28 Si 0.1250 0.8750 0.2500  4 O 1.66
29 Si 0.7500 0.3750 0.6250  4 O 1.66
30 Si 0.8750 0.2500 0.1250  4 O 1.66
31 Si 0.7500 0.8750 0.1250  4 O 1.66
32 Si 0.1250 0.7500 0.8750  4 O 1.66
33 O 0.5821 0.8951 0.3827  1 Si 1.66
34 O 0.3827 0.5821 0.8951  1 Si 1.66
35 O 0.3005 0.3129 0.9178  1 Si 1.66
36 O 0.4876 0.6049 0.1871  1 Si 1.66
37 O 0.3129 0.8951 0.0124  1 Si 1.66
38 O 0.1173 0.0124 0.1995  1 Si 1.66
39 O 0.3827 0.3005 0.4876  1 Si 1.66
40 O 0.8951 0.3827 0.5821  1 Si 1.66
41 O 0.1871 0.1995 0.5821  1 Si 1.66
42 O 0.4876 0.3827 0.3005  1 Si 1.66
43 O 0.8951 0.0124 0.3129  1 Si 1.66
44 O 0.6049 0.9178 0.1173  1 Si 1.66
45 O 0.9178 0.1173 0.6049  1 Si 1.66
46 O 0.3005 0.4876 0.3827  1 Si 1.66
47 O 0.5821 0.1871 0.1995  1 Si 1.66
48 O 0.1995 0.5821 0.1871  1 Si 1.66
49 O 0.0124 0.3129 0.8951  1 Si 1.66
50 O 0.9178 0.3005 0.3129  1 Si 1.66
51 O 0.0124 0.1995 0.1173  1 Si 1.66
52 O 0.8129 0.8005 0.4178  1 Si 1.66
53 O 0.1871 0.4876 0.6049  1 Si 1.66
54 O 0.6049 0.1871 0.4876  1 Si 1.66
55 O 0.1995 0.1173 0.0124  1 Si 1.66
56 O 0.1173 0.6049 0.9178  1 Si 1.66
57 O 0.4178 0.1049 0.6173  1 Si 1.66
58 O 0.6173 0.4178 0.1049  1 Si 1.66
59 O 0.6995 0.6871 0.0822  1 Si 1.66
60 O 0.5124 0.3951 0.8129  1 Si 1.66
61 O 0.6871 0.1049 0.9876  1 Si 1.66
62 O 0.8827 0.9876 0.8005  1 Si 1.66
63 O 0.6173 0.6995 0.5124  1 Si 1.66
64 O 0.1049 0.6173 0.4178  1 Si 1.66
65 O 0.8827 0.3951 0.0822  1 Si 1.66
66 O 0.8005 0.8827 0.9876  1 Si 1.66
67 O 0.3951 0.8129 0.5124  1 Si 1.66
68 O 0.6871 0.0822 0.6995  1 Si 1.66
69 O 0.8129 0.5124 0.3951  1 Si 1.66
70 O 0.9876 0.8005 0.8827  1 Si 1.66
71 O 0.0822 0.6995 0.6871  1 Si 1.66
72 O 0.9876 0.6871 0.1049  1 Si 1.66
73 O 0.8005 0.4178 0.8129  1 Si 1.66
74 O 0.4178 0.8129 0.8005  1 Si 1.66
75 O 0.6995 0.5124 0.6173  1 Si 1.66
76 O 0.0822 0.8827 0.3951  1 Si 1.66
77 O 0.3951 0.0822 0.8827  1 Si 1.66
78 O 0.1049 0.9876 0.6871  1 Si 1.66
79 O 0.5124 0.6173 0.6995  1 Si 1.66
80 O 0.3129 0.9178 0.3005  1 Si 1.66

***

[4]
VASP calculation (GGA+U) on a relaxed structure of Sr3NbCoO7.

abc: 3.9822 3.9882 42.3112
angles: 90.00 90.04 90.08
Closest atoms and distances in Å follow each position.
Positions (direct):
1 Sr 0.5022 0.4997 0.5950  1 O 2.38
2 Sr 0.9982 0.9988 0.8471  1 O 2.35
3 Sr 0.5010 0.5007 0.0959  1 O 2.34
4 Sr 0.9989 0.0014 0.3460  1 O 2.33
5 Sr 0.9953 0.9991 0.6592  7 O 2.57-2.79
6 Sr 0.4958 0.4958 0.9108  9 O 2.64-2.87
7 Sr 0.0028 0.9972 0.1600  9 O 2.65-2.87
8 Sr 0.4957 0.5049 0.4094  9 O 2.62-2.88
9 Sr 0.9917 0.9976 0.7411  6 O 2.57-2.85
10 Sr 0.5039 0.5040 0.9909  7 O 2.57-2.86
11 Sr 0.9986 0.0017 0.2405  8 O 2.58-2.88
12 Sr 0.5034 0.4965 0.4895  4 O 2.54-2.56
13 Nb 0.0015 0.9991 0.5483  6 O 1.91-2.12
14 Nb 0.4972 0.4989 0.7991  6 O 1.93-2.08
15 Nb 0.0016 0.0018 0.0477  6 O 1.94-2.07
16 Nb 0.4990 0.5012 0.2984  6 O 1.93-2.08
17 Co 0.4829 0.4957 0.6963  5 O 1.91-2.09
18 Co 0.9999 0.0000 0.9494  5 O 1.98-2.00
19 Co 0.5001 0.4999 0.1983  5 O 1.99-2.00
20 Co 0.0001 0.9998 0.4479  5 O 1.99-2.01
21 O 0.0001 0.0009 0.5032  1 Nb 1.91
22 O 0.5011 0.4995 0.7535  1 Nb 1.93
23 O 0.9990 0.9991 0.0018  1 Nb 1.94
24 O 0.5001 0.4998 0.2526  1 Nb 1.93
25 O 0.5183 0.5046 0.6514  1 Co 1.91
26 O 0.0013 0.0016 0.9026  1 Co 1.98
27 O 0.4976 0.5022 0.1511  1 Co 2.00
28 O 0.0023 0.9966 0.4010  1 Co 1.99
29 O 0.0021 0.0014 0.5984  1 Nb 2.12
30 O 0.5004 0.4996 0.8484  1 Nb 2.08
31 O 0.9999 0.9995 0.0966  1 Nb 2.07
32 O 0.5001 0.5004 0.3475  1 Nb 2.08
33 O 0.0048 0.5009 0.7018  2 Co 1.92-2.09
34 O 0.5012 0.0002 0.9521  2 Co 1.99-2.00
35 O 0.9991 0.4994 0.2016  2 Co 1.99-2.00
36 O 0.5018 0.9995 0.4518  2 Co 1.99-2.00
37 O 0.5009 0.0011 0.7016  2 Co 1.99-2.03
38 O 0.0001 0.5014 0.9521  2 Co 1.99-2.00
39 O 0.5006 0.0009 0.2016  2 Co 2.00
40 O 0.0003 0.4980 0.4517  2 Co 1.99-2.01
41 O 0.5009 0.0001 0.5514  2 Nb 1.99-2.00
42 O 0.9995 0.5001 0.8014  2 Nb 1.98-2.00
43 O 0.5000 0.9987 0.0498  2 Nb 1.99-2.00
44 O 0.9995 0.5007 0.3007  2 Nb 1.99-2.00
45 O 0.9999 0.5001 0.5514  2 Nb 1.99-2.00
46 O 0.5010 0.9995 0.8014  2 Nb 1.99-2.00
47 O 0.9988 0.4999 0.0498  2 Nb 1.99-2.00
48 O 0.4994 0.0006 0.3007  2 Nb 1.99-2.00

Output
**Excess energy over the best structure of this formula in the dataset**: 30 meV/atom

***

Number 1: calculated formation energy -1.302 eV per atom. Number 2: calculated formation energy -2.412 eV per atom. Number 3: calculated formation energy -2.956 eV per atom. Number 4: calculated formation energy -2.806 eV per atom.